Record 1
# Na6Hf7ZnP12O48 (PBE, relaxed)
# DFT formation energy = -3127 meV/atom
# energy = -7.834 eV per atom
data_Na6Hf7ZnP12O48
_chemical_formula_sum 'Na18 Hf21 Zn3 P36 O144'
_cell_length_a 8.9079
_cell_length_b 15.4023
_cell_length_c 22.9483
_cell_angle_alpha 89.99
_cell_angle_beta 89.99
_cell_angle_gamma 89.97
_space_group_name_H-M_alt 'P 1'
_space_group_IT_number 1
_space_group_name_Hall 'P 1'
loop_
_atom_site_label
_atom_site_type_symbol
_atom_site_fract_x
_atom_site_fract_y
_atom_site_fract_z
Na1 Na 0.0000 0.0000 0.0000
Na2 Na 0.0006 0.0022 0.5016
Na3 Na 0.0021 0.3353 0.6659
Na4 Na 0.0181 0.3351 0.1745
Na5 Na 0.0187 0.6726 0.8374
Na6 Na 0.3243 0.6907 0.2620
Na7 Na 0.3712 0.9944 0.2624
Na8 Na 0.4832 0.8352 0.6726
Na9 Na 0.4913 0.1769 0.3425
Na10 Na 0.4941 0.1733 0.8366
Na11 Na 0.5016 0.5022 0.5013
Na12 Na 0.5036 0.5045 0.0008
Na13 Na 0.5178 0.8348 0.1727
Na14 Na 0.6293 0.9944 0.7595
Na15 Na 0.6789 0.6924 0.7593
Na16 Na 0.8240 0.1906 0.2622
Na17 Na 0.8711 0.4947 0.2623
Na18 Na 0.9915 0.6770 0.3422
Hf1 Hf 0.0001 0.0005 0.3578
Hf2 Hf 0.0000 0.0016 0.1468
Hf3 Hf 0.0003 0.3355 0.0226
Hf4 Hf 0.9998 0.6690 0.9814
Hf5 Hf 0.0010 0.3355 0.5191
Hf6 Hf 0.0023 0.3356 0.8151
Hf7 Hf 0.0018 0.6685 0.4823
Hf8 Hf 0.0053 0.9997 0.8564
Hf9 Hf 0.0046 0.0027 0.6475
Hf10 Hf 0.0079 0.6683 0.6877
Hf11 Hf 0.4983 0.1708 0.1871
Hf12 Hf 0.4977 0.1714 0.6882
Hf13 Hf 0.4996 0.5008 0.3578
Hf14 Hf 0.5003 0.5012 0.6473
Hf15 Hf 0.4995 0.5018 0.1468
Hf16 Hf 0.4995 0.5034 0.8567
Hf17 Hf 0.5009 0.8358 0.0194
Hf18 Hf 0.5024 0.1682 0.4823
Hf19 Hf 0.5023 0.1680 0.9811
Hf20 Hf 0.5026 0.8357 0.5202
Hf21 Hf 0.9987 0.6712 0.1869
Zn1 Zn 0.0113 0.3352 0.3243
Zn2 Zn 0.4899 0.8353 0.8219
Zn3 Zn 0.5110 0.8351 0.3243
P1 P 0.1459 0.1477 0.2516
P2 P 0.1462 0.4804 0.9190
P3 P 0.1464 0.5218 0.5848
P4 P 0.1458 0.8564 0.2516
P5 P 0.1465 0.1904 0.9188
P6 P 0.1489 0.8147 0.5847
P7 P 0.2091 0.1700 0.5845
P8 P 0.2099 0.5008 0.2510
P9 P 0.2105 0.8346 0.9177
P10 P 0.2927 0.3342 0.4174
P11 P 0.2932 0.6700 0.0854
P12 P 0.2941 0.0011 0.7517
P13 P 0.3541 0.6905 0.4155
P14 P 0.3549 0.3149 0.0837
P15 P 0.3565 0.6482 0.7520
P16 P 0.3567 0.0223 0.0856
P17 P 0.3565 0.3577 0.7525
P18 P 0.3566 0.9818 0.4156
P19 P 0.6462 0.0226 0.5870
P20 P 0.6457 0.3565 0.2515
P21 P 0.6462 0.6476 0.2516
P22 P 0.6477 0.6902 0.9155
P23 P 0.6481 0.9813 0.9153
P24 P 0.6489 0.3142 0.5850
P25 P 0.7101 0.0008 0.2510
P26 P 0.7103 0.6697 0.5869
P27 P 0.7115 0.3357 0.9186
P28 P 0.7906 0.5019 0.7516
P29 P 0.7924 0.8343 0.4175
P30 P 0.7927 0.1697 0.0859
P31 P 0.8530 0.8150 0.0840
P32 P 0.8540 0.1901 0.4151
P33 P 0.8560 0.4821 0.4153
P34 P 0.8561 0.5226 0.0862
P35 P 0.8566 0.1468 0.7519
P36 P 0.8573 0.8561 0.7514
O1 O 0.0722 0.2366 0.2552
O2 O 0.0735 0.4316 0.5790
O3 O 0.0749 0.0996 0.9125
O4 O 0.0750 0.7640 0.2463
O5 O 0.0756 0.5717 0.9245
O6 O 0.0765 0.9053 0.5910
O7 O 0.0805 0.1003 0.1974
O8 O 0.0801 0.2347 0.9731
O9 O 0.0802 0.4362 0.8644
O10 O 0.0796 0.9001 0.3063
O11 O 0.0805 0.5664 0.6396
O12 O 0.0813 0.7702 0.5309
O13 O 0.1035 0.4237 0.2546
O14 O 0.1044 0.7556 0.9273
O15 O 0.1070 0.9125 0.1977
O16 O 0.1086 0.2511 0.5790
O17 O 0.1101 0.0883 0.5904
O18 O 0.1101 0.9175 0.9143
O19 O 0.1122 0.4254 0.9734
O20 O 0.1139 0.2460 0.8642
O21 O 0.1143 0.5781 0.5310
O22 O 0.1139 0.5869 0.2455
O23 O 0.1151 0.7591 0.6395
O24 O 0.1180 0.0889 0.3054
O25 O 0.1824 0.9908 0.4136
O26 O 0.1831 0.3238 0.0792
O27 O 0.1834 0.6553 0.7462
O28 O 0.1833 0.6778 0.4261
O29 O 0.1843 0.3477 0.7582
O30 O 0.1845 0.0135 0.0908
O31 O 0.1884 0.6585 0.0328
O32 O 0.1919 0.3461 0.4719
O33 O 0.1923 0.9954 0.6972
O34 O 0.1945 0.0127 0.8063
O35 O 0.1973 0.6802 0.1419
O36 O 0.2062 0.3180 0.3617
O37 O 0.2976 0.8183 0.8622
O38 O 0.3089 0.1808 0.6395
O39 O 0.3100 0.1586 0.5309
O40 O 0.3102 0.4938 0.1963
O41 O 0.3102 0.8466 0.9724
O42 O 0.3114 0.5166 0.3048
O43 O 0.3171 0.8466 0.2537
O44 O 0.3189 0.1811 0.9246
O45 O 0.3185 0.4891 0.9135
O46 O 0.3186 0.5129 0.5909
O47 O 0.3205 0.8237 0.5789
O48 O 0.3206 0.1514 0.2455
O49 O 0.3739 0.7389 0.3576
O50 O 0.3885 0.2596 0.1388
O51 O 0.3890 0.4116 0.6975
O52 O 0.3889 0.5926 0.8069
O53 O 0.3915 0.0808 0.0329
O54 O 0.3920 0.4173 0.4136
O55 O 0.3926 0.5881 0.0903
O56 O 0.3930 0.7510 0.0791
O57 O 0.3950 0.0846 0.7468
O58 O 0.3948 0.9234 0.4684
O59 O 0.3980 0.9222 0.7540
O60 O 0.3995 0.2558 0.4272
O61 O 0.4173 0.9472 0.3576
O62 O 0.4200 0.0651 0.1420
O63 O 0.4220 0.2702 0.0299
O64 O 0.4232 0.4016 0.8068
O65 O 0.4230 0.5992 0.6986
O66 O 0.4239 0.0736 0.4258
O67 O 0.4242 0.7382 0.4682
O68 O 0.4274 0.4052 0.0896
O69 O 0.4280 0.5988 0.4128
O70 O 0.4290 0.2664 0.7471
O71 O 0.4298 0.9324 0.0792
O72 O 0.4329 0.7368 0.7543
O73 O 0.5723 0.7367 0.2552
O74 O 0.5732 0.9325 0.5798
O75 O 0.5742 0.5982 0.9138
O76 O 0.5749 0.2641 0.2462
O77 O 0.5759 0.4048 0.5909
O78 O 0.5782 0.7374 0.9687
O79 O 0.5795 0.0732 0.9262
O80 O 0.5797 0.4003 0.3063
O81 O 0.5811 0.2698 0.5312
O82 O 0.5806 0.6002 0.1975
O83 O 0.5824 0.0653 0.6432
O84 O 0.5860 0.9468 0.8578
O85 O 0.6035 0.9237 0.2546
O86 O 0.6069 0.4125 0.1976
O87 O 0.6105 0.5878 0.5919
O88 O 0.6100 0.7507 0.5797
O89 O 0.6114 0.2542 0.9242
O90 O 0.6106 0.9234 0.9685
O91 O 0.6118 0.0806 0.5340
O92 O 0.6117 0.4172 0.9125
O93 O 0.6139 0.0869 0.2455
O94 O 0.6150 0.2592 0.6400
O95 O 0.6182 0.5889 0.3054
O96 O 0.6276 0.7387 0.8580
O97 O 0.6819 0.4907 0.4135
O98 O 0.6817 0.8241 0.0790
O99 O 0.6825 0.1523 0.7463
O100 O 0.6833 0.1774 0.4259
O101 O 0.6841 0.5136 0.0908
O102 O 0.6860 0.8471 0.7536
O103 O 0.6886 0.1596 0.0330
O104 O 0.6896 0.5162 0.8054
O105 O 0.6924 0.4897 0.6970
O106 O 0.6923 0.8462 0.4720
O107 O 0.6971 0.1800 0.1422
O108 O 0.7060 0.8182 0.3616
O109 O 0.8056 0.6801 0.6431
O110 O 0.8104 0.3468 0.9731
O111 O 0.8105 0.9940 0.1963
O112 O 0.8115 0.0168 0.3048
O113 O 0.8115 0.3247 0.8642
O114 O 0.8147 0.6580 0.5340
O115 O 0.8170 0.3468 0.2535
O116 O 0.8185 0.6769 0.9264
O117 O 0.8185 0.0137 0.5920
O118 O 0.8207 0.3235 0.5791
O119 O 0.8209 0.6513 0.2455
O120 O 0.8220 0.9913 0.9134
O121 O 0.8738 0.2388 0.3575
O122 O 0.8853 0.5863 0.7456
O123 O 0.8866 0.0888 0.8055
O124 O 0.8872 0.7599 0.1392
O125 O 0.8922 0.0881 0.0903
O126 O 0.8923 0.2509 0.0802
O127 O 0.8918 0.5800 0.0333
O128 O 0.8920 0.9173 0.4136
O129 O 0.8938 0.4224 0.7582
O130 O 0.8939 0.4236 0.4681
O131 O 0.8963 0.9136 0.6982
O132 O 0.8988 0.7557 0.4271
O133 O 0.9172 0.4473 0.3576
O134 O 0.9197 0.5650 0.1425
O135 O 0.9209 0.7701 0.0305
O136 O 0.9225 0.1042 0.6969
O137 O 0.9227 0.5740 0.4257
O138 O 0.9231 0.8997 0.8065
O139 O 0.9237 0.2378 0.4680
O140 O 0.9247 0.2383 0.7586
O141 O 0.9262 0.9053 0.0900
O142 O 0.9274 0.7637 0.7461
O143 O 0.9280 0.0986 0.4127
O144 O 0.9287 0.4323 0.0803

---

Record 2
# Na14Hf3Zn5P12O48 (PBE, relaxed)
# DFT formation energy = -2706 meV/atom
# energy = -6.660 eV per atom
data_Na14Hf3Zn5P12O48
_chemical_formula_sum 'Na42 Hf9 Zn15 P36 O144'
_cell_length_a 9.0473
_cell_length_b 15.6537
_cell_length_c 22.3267
_cell_angle_alpha 89.96
_cell_angle_beta 89.90
_cell_angle_gamma 89.83
_space_group_name_H-M_alt 'P 1'
_space_group_IT_number 1
_space_group_name_Hall 'P 1'
loop_
_atom_site_label
_atom_site_type_symbol
_atom_site_fract_x
_atom_site_fract_y
_atom_site_fract_z
Na1 Na 0.0000 0.0000 0.0000
Na2 Na 0.9999 0.3331 0.3340
Na3 Na 0.0121 0.2949 0.6708
Na4 Na 0.0123 0.6656 0.6712
Na5 Na 0.0184 0.6331 0.0004
Na6 Na 0.0182 0.9671 0.3343
Na7 Na 0.1365 0.4687 0.8319
Na8 Na 0.1415 0.7942 0.1712
Na9 Na 0.1520 0.4990 0.5005
Na10 Na 0.1552 0.8303 0.8321
Na11 Na 0.1884 0.1409 0.8320
Na12 Na 0.1929 0.8069 0.5004
Na13 Na 0.2000 0.4806 0.1713
Na14 Na 0.3243 0.3049 0.2467
Na15 Na 0.3263 0.3134 0.7469
Na16 Na 0.3262 0.9892 0.4134
Na17 Na 0.3299 0.9760 0.9150
Na18 Na 0.3309 0.6517 0.0851
Na19 Na 0.3362 0.6464 0.5851
Na20 Na 0.4554 0.4801 0.6710
Na21 Na 0.4974 0.8305 0.3317
Na22 Na 0.4987 0.4996 0.0005
Na23 Na 0.5122 0.1658 0.6710
Na24 Na 0.5119 0.7949 0.6709
Na25 Na 0.5146 0.4692 0.3324
Na26 Na 0.5171 0.1336 0.0005
Na27 Na 0.6335 0.3010 0.1671
Na28 Na 0.6363 0.9689 0.8318
Na29 Na 0.6409 0.6656 0.1710
Na30 Na 0.6515 0.9996 0.5007
Na31 Na 0.6549 0.3303 0.8322
Na32 Na 0.6880 0.6407 0.8317
Na33 Na 0.6894 0.9747 0.1676
Na34 Na 0.6922 0.3067 0.5011
Na35 Na 0.8219 0.4845 0.4155
Na36 Na 0.8263 0.8124 0.2474
Na37 Na 0.8262 0.8134 0.7468
Na38 Na 0.8301 0.4756 0.9149
Na39 Na 0.8360 0.1467 0.5853
Na40 Na 0.8393 0.1529 0.0801
Na41 Na 0.9556 0.9802 0.6711
Na42 Na 0.9654 0.6407 0.3323
Hf1 Hf 0.3234 0.9824 0.5680
Hf2 Hf 0.3240 0.3132 0.9030
Hf3 Hf 0.3275 0.3095 0.4015
Hf4 Hf 0.3277 0.9791 0.0685
Hf5 Hf 0.8235 0.4822 0.5679
Hf6 Hf 0.8244 0.8134 0.9029
Hf7 Hf 0.8253 0.8130 0.4027
Hf8 Hf 0.8281 0.4776 0.0680
Hf9 Hf 0.8296 0.1470 0.2345
Zn1 Zn 0.3202 0.3098 0.1021
Zn2 Zn 0.3247 0.3126 0.6003
Zn3 Zn 0.3265 0.9800 0.7660
Zn4 Zn 0.3271 0.6474 0.7392
Zn5 Zn 0.3275 0.6467 0.2398
Zn6 Zn 0.3292 0.9845 0.2680
Zn7 Zn 0.3297 0.6507 0.9339
Zn8 Zn 0.3339 0.6462 0.4340
Zn9 Zn 0.8245 0.8124 0.1004
Zn10 Zn 0.8247 0.8128 0.6007
Zn11 Zn 0.8264 0.4799 0.7660
Zn12 Zn 0.8261 0.4810 0.2665
Zn13 Zn 0.8270 0.1475 0.7392
Zn14 Zn 0.8300 0.1510 0.9336
Zn15 Zn 0.8329 0.1465 0.4353
P1 P 0.0310 0.3115 0.5050
P2 P 0.0325 0.6462 0.8372
P3 P 0.0323 0.9791 0.1714
P4 P 0.1204 0.1451 0.3380
P5 P 0.1224 0.8123 0.0051
P6 P 0.1227 0.4799 0.6709
P7 P 0.1756 0.1666 0.0048
P8 P 0.1776 0.8322 0.6710
P9 P 0.1787 0.1290 0.6725
P10 P 0.1788 0.4996 0.3372
P11 P 0.1804 0.4616 0.0053
P12 P 0.1801 0.7941 0.3370
P13 P 0.4714 0.1285 0.1709
P14 P 0.4716 0.4613 0.5042
P15 P 0.4723 0.7941 0.8358
P16 P 0.4742 0.4998 0.8371
P17 P 0.4748 0.8320 0.1726
P18 P 0.4758 0.1661 0.5057
P19 P 0.5299 0.4801 0.1712
P20 P 0.5299 0.8117 0.5055
P21 P 0.5326 0.1462 0.8372
P22 P 0.6205 0.6462 0.3357
P23 P 0.6220 0.3121 0.0051
P24 P 0.6227 0.9799 0.6710
P25 P 0.6752 0.6660 0.0056
P26 P 0.6758 0.0007 0.3388
P27 P 0.6775 0.3322 0.6711
P28 P 0.6788 0.6289 0.6724
P29 P 0.6795 0.9620 0.0052
P30 P 0.6798 0.2943 0.3380
P31 P 0.9724 0.2943 0.8357
P32 P 0.9721 0.9621 0.5049
P33 P 0.9741 0.9998 0.8371
P34 P 0.9741 0.6285 0.1709
P35 P 0.9757 0.6662 0.5049
P36 P 0.9769 0.3333 0.1724
O1 O 0.0047 0.8036 0.3438
O2 O 0.0079 0.1343 0.6730
O3 O 0.0075 0.4713 0.0087
O4 O 0.0080 0.8235 0.6648
O5 O 0.0094 0.4869 0.3323
O6 O 0.0104 0.1497 0.9981
O7 O 0.0174 0.4917 0.6147
O8 O 0.0175 0.1627 0.2822
O9 O 0.0198 0.8286 0.9488
O10 O 0.0232 0.1307 0.3926
O11 O 0.0271 0.4652 0.7270
O12 O 0.0266 0.7996 0.0609
O13 O 0.1235 0.3019 0.5615
O14 O 0.1239 0.6662 0.7805
O15 O 0.1260 0.6318 0.8937
O16 O 0.1266 0.9652 0.2272
O17 O 0.1309 0.9928 0.1143
O18 O 0.1328 0.3274 0.4487
O19 O 0.1435 0.9867 0.8323
O20 O 0.1438 0.3258 0.1644
O21 O 0.1439 0.6549 0.4981
O22 O 0.1449 0.6341 0.1719
O23 O 0.1456 0.9648 0.5083
O24 O 0.1471 0.3036 0.8440
O25 O 0.1961 0.7385 0.2802
O26 O 0.2029 0.5542 0.3935
O27 O 0.2028 0.8876 0.7269
O28 O 0.2089 0.2208 0.0587
O29 O 0.2093 0.4055 0.9482
O30 O 0.2121 0.2304 0.3423
O31 O 0.2133 0.8977 0.0087
O32 O 0.2147 0.0686 0.6177
O33 O 0.2165 0.5624 0.6720
O34 O 0.2174 0.0659 0.3300
O35 O 0.2174 0.7324 0.9973
O36 O 0.2211 0.3993 0.6648
O37 O 0.2448 0.8852 0.3322
O38 O 0.2471 0.5515 0.9983
O39 O 0.2472 0.7539 0.3935
O40 O 0.2479 0.8787 0.6145
O41 O 0.2486 0.0894 0.7288
O42 O 0.2495 0.4203 0.0605
O43 O 0.2499 0.2068 0.9472
O44 O 0.2504 0.2179 0.6653
O45 O 0.2523 0.4074 0.3445
O46 O 0.2538 0.5357 0.2804
O47 O 0.2549 0.7438 0.6722
O48 O 0.2566 0.0760 0.0086
O49 O 0.3982 0.7438 0.1726
O50 O 0.3989 0.5359 0.7805
O51 O 0.4000 0.5491 0.4968
O52 O 0.3997 0.7531 0.8902
O53 O 0.4011 0.4075 0.8440
O54 O 0.4035 0.2107 0.4504
O55 O 0.4026 0.8810 0.1177
O56 O 0.4043 0.0749 0.5085
O57 O 0.4051 0.4203 0.5603
O58 O 0.4072 0.0849 0.2251
O59 O 0.4080 0.8858 0.8315
O60 O 0.4146 0.2200 0.1647
O61 O 0.4236 0.7370 0.4983
O62 O 0.4287 0.0680 0.8325
O63 O 0.4308 0.2293 0.8441
O64 O 0.4315 0.4001 0.1647
O65 O 0.4352 0.8975 0.5082
O66 O 0.4368 0.5631 0.1723
O67 O 0.4452 0.4018 0.4479
O68 O 0.4481 0.0713 0.1132
O69 O 0.4482 0.5535 0.8937
O70 O 0.4505 0.2200 0.5618
O71 O 0.4505 0.8868 0.2287
O72 O 0.4601 0.7398 0.7783
O73 O 0.5070 0.3047 0.3416
O74 O 0.5068 0.9715 0.0085
O75 O 0.5080 0.3236 0.6649
O76 O 0.5080 0.6344 0.6729
O77 O 0.5101 0.6500 0.9984
O78 O 0.5108 0.9835 0.3320
O79 O 0.5175 0.9916 0.6147
O80 O 0.5197 0.3282 0.9487
O81 O 0.5227 0.6306 0.3901
O82 O 0.5267 0.3001 0.0610
O83 O 0.5272 0.9651 0.7270
O84 O 0.5329 0.6672 0.2782
O85 O 0.6241 0.1660 0.7805
O86 O 0.6237 0.8019 0.5615
O87 O 0.6261 0.1317 0.8937
O88 O 0.6265 0.4645 0.2267
O89 O 0.6316 0.8281 0.4489
O90 O 0.6355 0.4915 0.1147
O91 O 0.6439 0.1551 0.4982
O92 O 0.6436 0.4867 0.8323
O93 O 0.6445 0.8233 0.1649
O94 O 0.6454 0.4645 0.5080
O95 O 0.6471 0.8034 0.8442
O96 O 0.6478 0.1333 0.1752
O97 O 0.7029 0.3876 0.7269
O98 O 0.7074 0.7177 0.0616
O99 O 0.7079 0.0519 0.3951
O100 O 0.7094 0.9056 0.9484
O101 O 0.7104 0.2383 0.2809
O102 O 0.7136 0.3974 0.0082
O103 O 0.7149 0.5686 0.6176
O104 O 0.7166 0.0624 0.6721
O105 O 0.7176 0.2323 0.9973
O106 O 0.7212 0.8993 0.6649
O107 O 0.7218 0.7290 0.3439
O108 O 0.7256 0.5681 0.3315
O109 O 0.7472 0.0516 0.9986
O110 O 0.7469 0.3846 0.3317
O111 O 0.7478 0.2537 0.3938
O112 O 0.7479 0.3787 0.6145
O113 O 0.7482 0.9209 0.0607
O114 O 0.7487 0.5895 0.7288
O115 O 0.7507 0.7086 0.9492
O116 O 0.7506 0.7179 0.6652
O117 O 0.7518 0.0427 0.2822
O118 O 0.7549 0.2439 0.6722
O119 O 0.7568 0.5757 0.0084
O120 O 0.7572 0.9097 0.3419
O121 O 0.8943 0.2448 0.1756
O122 O 0.8989 0.0358 0.7804
O123 O 0.8989 0.3774 0.1175
O124 O 0.9001 0.0496 0.4976
O125 O 0.8997 0.2533 0.8901
O126 O 0.9010 0.9075 0.8440
O127 O 0.9026 0.7180 0.1648
O128 O 0.9038 0.5750 0.5081
O129 O 0.9040 0.5882 0.2269
O130 O 0.9050 0.9204 0.5606
O131 O 0.9057 0.7094 0.4480
O132 O 0.9079 0.3858 0.8314
O133 O 0.9235 0.2372 0.4983
O134 O 0.9286 0.5681 0.8324
O135 O 0.9299 0.0606 0.1752
O136 O 0.9304 0.7291 0.8443
O137 O 0.9309 0.9004 0.1650
O138 O 0.9356 0.3975 0.5078
O139 O 0.9392 0.5695 0.1148
O140 O 0.9452 0.9029 0.4484
O141 O 0.9479 0.0534 0.8937
O142 O 0.9483 0.7210 0.5603
O143 O 0.9491 0.3858 0.2293
O144 O 0.9600 0.2398 0.7783